Density functional theory data (PBE) for crystalline LiB11 at its relaxed geometry.

Cell lengths 5.1863, 5.1863, 5.1863 Å; angles 128.38, 128.38, 76.00 degrees
Closest atoms and distances in Å follow each position.
Sites, in units of the cell vectors:
1 B 0.1696 0.9199 0.7503  4 B 1.79-1.96
2 B 0.3013 0.3013 0.6026  7 B 1.79-1.96
3 B 0.3013 0.6987 0.0000  7 B 1.79-1.96
4 B 0.0801 0.8304 0.2497  4 B 1.79-1.96
5 B 0.6987 0.6987 0.3974  7 B 1.79-1.96
6 B 0.6599 0.6599 0.0000  6 B 1.79-1.82
7 Li 0.7500 0.2500 0.5000  20 B 2.37-2.61
8 B 0.1696 0.4193 0.2497  4 B 1.79-1.96
9 B 0.6987 0.3013 0.0000  7 B 1.79-1.96
10 B 0.0000 0.0000 0.0000  8 B 1.79-1.92
11 B 0.5807 0.8304 0.7503  4 B 1.79-1.96
12 B 0.3401 0.3401 0.0000  6 B 1.79-1.82

Computed properties:
ΔH_f (0 K): 752 meV/atom
magnetic moment: 0.0 μB/cell
energy above the most stable polymorph in this dataset: 622 meV per atom

=====

Density functional theory data (PBE) for crystalline H6PbCI3N at its relaxed geometry.

Cell lengths 8.5567, 9.2505, 12.9636 Å; angles 90.00, 90.00, 90.00 degrees
Closest atoms and distances in Å follow each position.
Sites, in units of the cell vectors:
1 H 0.3402 0.0503 0.7500  1 C 1.10
2 I 0.1839 0.3072 0.0221  1 H 2.71
3 H 0.1619 0.5786 0.7500  1 N 1.04
4 H 0.5052 0.1201 0.8192  1 C 1.09
5 I 0.0377 0.9874 0.2500  1 H 2.70
6 H 0.4943 0.1430 0.1854  1 N 1.04
7 N 0.4596 0.0849 0.2500  3 H 1.04
8 N 0.0404 0.5849 0.7500  3 H 1.04
9 I 0.4623 0.4874 0.7500  1 H 2.70
10 Pb 0.5000 0.5000 0.5000  6 I 3.25-3.26
11 H 0.0052 0.3799 0.8192  1 C 1.09
12 I 0.5377 0.5126 0.2500  1 H 2.70
13 H 0.4948 0.8799 0.3192  1 C 1.09
14 H 0.3381 0.0786 0.2500  1 N 1.04
15 H 0.0057 0.6430 0.8146  1 N 1.04
16 N 0.5404 0.9151 0.7500  3 H 1.04
17 I 0.8161 0.6928 0.9779  1 H 2.71
18 Pb 0.0000 0.0000 0.5000  6 I 3.25-3.26
19 Pb 0.5000 0.5000 0.0000  6 I 3.25-3.26
20 H 0.0052 0.3799 0.6808  1 C 1.09
21 I 0.3161 0.8072 0.9779  1 H 2.71
22 H 0.5057 0.8570 0.8146  1 N 1.04
23 C 0.0324 0.5622 0.2500  3 H 1.09-1.10
24 H 0.4948 0.8799 0.1808  1 C 1.09
25 C 0.9676 0.4378 0.7500  3 H 1.09-1.10
26 H 0.1598 0.5503 0.2500  1 C 1.10
27 H 0.0057 0.6430 0.6854  1 N 1.04
28 I 0.6839 0.1928 0.0221  1 H 2.71
29 H 0.4943 0.1430 0.3146  1 N 1.04
30 H 0.9943 0.3570 0.1854  1 N 1.04
31 H 0.9948 0.6201 0.1808  1 C 1.09
32 C 0.5324 0.9378 0.2500  3 H 1.09-1.10
33 H 0.9948 0.6201 0.3192  1 C 1.09
34 I 0.8161 0.6928 0.5221  1 H 2.71
35 H 0.5052 0.1201 0.6808  1 C 1.09
36 I 0.6839 0.1928 0.4779  1 H 2.71
37 H 0.9943 0.3570 0.3146  1 N 1.04
38 Pb 0.0000 0.0000 0.0000  6 I 3.25-3.26
39 I 0.3161 0.8072 0.5221  1 H 2.71
40 H 0.8402 0.4497 0.7500  1 C 1.10
41 I 0.9623 0.0126 0.7500  1 H 2.70
42 H 0.5057 0.8570 0.6854  1 N 1.04
43 H 0.8381 0.4214 0.2500  1 N 1.04
44 H 0.6598 0.9497 0.2500  1 C 1.10
45 C 0.4676 0.0622 0.7500  3 H 1.09-1.10
46 I 0.1839 0.3072 0.4779  1 H 2.71
47 N 0.9596 0.4151 0.2500  3 H 1.04
48 H 0.6619 0.9214 0.7500  1 N 1.04

Computed properties:
ΔH_f (0 K): -435 meV/atom
magnetic moment: 0.0 μB/cell
MP2020-corrected energy: -4.286 eV per atom
energy above the most stable polymorph in this dataset: 0 meV per atom

=====

Density functional theory data (PBE) for crystalline BaLaI5 at its relaxed geometry.

Cell lengths 11.6592, 14.8524, 21.4883 Å; angles 46.64, 90.00, 90.00 degrees
Closest atoms and distances in Å follow each position.
Sites, in units of the cell vectors:
1 La 0.2653 0.7758 0.8431  6 I 3.10-3.34
2 Ba 0.7106 0.3492 0.8576  6 I 3.53-3.84
3 I 0.7687 0.4539 0.6399  1 La 3.17
4 I 0.4049 0.2797 0.8593  1 La 3.19
5 La 0.2347 0.7758 0.3431  6 I 3.10-3.34
6 I 0.0951 0.2797 0.3593  1 La 3.19
7 La 0.6996 0.7979 0.6936  6 I 3.06-3.20
8 I 0.1167 0.9085 0.6808  1 La 3.10
9 I 0.7423 0.5610 0.8810  1 La 3.06
10 I 0.5951 0.7203 0.1407  1 La 3.19
11 I 0.9604 0.2634 0.5360  1 La 3.19
12 I 0.2977 0.0702 0.7475  2 La 3.19-3.34
13 I 0.7023 0.9298 0.2525  2 La 3.19-3.34
14 I 0.6922 0.0351 0.4973  1 La 3.13
15 I 0.5651 0.2606 0.5452  1 La 3.12
16 Ba 0.2685 0.1918 0.5326  8 I 3.55-3.87
17 I 0.6167 0.0915 0.8192  1 La 3.10
18 I 0.0396 0.7366 0.4640  1 La 3.19
19 I 0.4469 0.3618 0.3277  1 La 3.20
20 I 0.9469 0.6382 0.1723  1 La 3.20
21 Ba 0.7315 0.8082 0.4674  8 I 3.55-3.87
22 I 0.2687 0.5461 0.8601  1 La 3.17
23 I 0.7977 0.9298 0.7525  2 La 3.19-3.34
24 I 0.2023 0.0702 0.2475  2 La 3.19-3.34
25 La 0.7347 0.2242 0.1569  6 I 3.10-3.34
26 I 0.5396 0.2634 0.0360  1 La 3.19
27 I 0.0366 0.8899 0.2030  2 La 3.14-3.20
28 I 0.2423 0.4390 0.6190  1 La 3.06
29 Ba 0.2894 0.6508 0.1424  6 I 3.53-3.84
30 I 0.8833 0.0915 0.3192  1 La 3.10
31 I 0.3078 0.9649 0.5027  1 La 3.13
32 Ba 0.2315 0.1918 0.0326  8 I 3.55-3.87
33 Ba 0.7894 0.3492 0.3576  6 I 3.53-3.84
34 I 0.7577 0.5610 0.3810  1 La 3.06
35 La 0.8004 0.7979 0.1936  6 I 3.06-3.20
36 I 0.5366 0.1101 0.2970  2 La 3.14-3.20
37 I 0.2577 0.4390 0.1190  1 La 3.06
38 I 0.8078 0.0351 0.9973  1 La 3.13
39 I 0.5531 0.6382 0.6723  1 La 3.20
40 I 0.1922 0.9649 0.0027  1 La 3.13
41 I 0.3833 0.9085 0.1808  1 La 3.10
42 I 0.9349 0.2606 0.0452  1 La 3.12
43 I 0.7313 0.4539 0.1399  1 La 3.17
44 I 0.0531 0.3618 0.8277  1 La 3.20
45 I 0.9634 0.1101 0.7970  2 La 3.14-3.20
46 La 0.3004 0.2021 0.3064  6 I 3.06-3.20
47 I 0.4634 0.8899 0.7030  2 La 3.14-3.20
48 I 0.0651 0.7394 0.9548  1 La 3.12
49 Ba 0.7685 0.8082 0.9674  8 I 3.55-3.87
50 I 0.4604 0.7366 0.9640  1 La 3.19
51 La 0.1996 0.2021 0.8064  6 I 3.06-3.20
52 I 0.2313 0.5461 0.3601  1 La 3.17
53 La 0.7653 0.2242 0.6569  6 I 3.10-3.34
54 Ba 0.2106 0.6508 0.6424  6 I 3.53-3.84
55 I 0.4349 0.7394 0.4548  1 La 3.12
56 I 0.9049 0.7203 0.6407  1 La 3.19

Computed properties:
ΔH_f (0 K): -1848 meV/atom
magnetic moment: 0.0 μB/cell
MP2020-corrected energy: -3.916 eV per atom
energy above the most stable polymorph in this dataset: 51 meV per atom

=====

Density functional theory data (PBE) for crystalline NpO2 at its relaxed geometry.

Cell lengths 3.8146, 3.8146, 3.8146 Å; angles 60.00, 60.00, 60.00 degrees
Closest atoms and distances in Å follow each position.
Sites, in units of the cell vectors:
1 Np 0.0000 0.0000 0.0000  8 O 2.34
2 O 0.7500 0.7500 0.7500  4 Np 2.34
3 O 0.2500 0.2500 0.2500  4 Np 2.34

Computed properties:
ΔH_f (0 K): -3601 meV/atom
MP2020-corrected energy: -11.216 eV per atom

=====

Density functional theory data (PBE) for crystalline LiCe2Al at its relaxed geometry.

Cell lengths 5.1777, 5.1777, 5.1777 Å; angles 60.00, 60.00, 60.00 degrees
Closest atoms and distances in Å follow each position.
Sites, in units of the cell vectors:
1 Ce 0.7500 0.7500 0.7500  4 Li 3.17, 4 Al 3.17
2 Li 0.0000 0.0000 0.0000  8 Ce 3.17
3 Ce 0.2500 0.2500 0.2500  4 Al 3.17, 4 Li 3.17
4 Al 0.5000 0.5000 0.5000  8 Ce 3.17

Computed properties:
ΔH_f (0 K): -38 meV/atom
magnetic moment: 0.0 μB/cell

=====

Density functional theory data (PBE) for crystalline KLiCO3 at its relaxed geometry.

Cell lengths 7.1748, 6.7363, 7.7704 Å; angles 60.14, 90.00, 90.00 degrees
Closest atoms and distances in Å follow each position.
Sites, in units of the cell vectors:
1 Li 0.9304 0.5967 0.2994  5 O 1.99-2.20
2 O 0.5265 0.7410 0.9650  1 C 1.30
3 K 0.3536 0.8327 0.3446  6 O 2.80-2.89
4 O 0.8096 0.8400 0.0309  1 C 1.29
5 K 0.1464 0.8327 0.8446  6 O 2.80-2.89
6 O 0.1904 0.1600 0.9691  1 C 1.29
7 C 0.3318 0.2962 0.9178  3 O 1.29-1.32
8 O 0.9735 0.7410 0.4650  1 C 1.30
9 C 0.6682 0.7038 0.0822  3 O 1.29-1.32
10 K 0.6464 0.1673 0.6554  6 O 2.80-2.89
11 O 0.6666 0.5183 0.2588  1 C 1.32
12 O 0.1666 0.4817 0.2412  1 C 1.32
13 Li 0.4304 0.4033 0.2006  5 O 1.99-2.20
14 O 0.3096 0.1600 0.4691  1 C 1.29
15 O 0.0265 0.2590 0.5350  1 C 1.30
16 K 0.8536 0.1673 0.1554  6 O 2.80-2.89
17 O 0.4735 0.2590 0.0350  1 C 1.30
18 Li 0.5696 0.5967 0.7994  5 O 1.99-2.20
19 O 0.3334 0.4817 0.7412  1 C 1.32
20 C 0.8318 0.7038 0.5822  3 O 1.29-1.32
21 C 0.1682 0.2962 0.4178  3 O 1.29-1.32
22 O 0.6904 0.8400 0.5309  1 C 1.29
23 Li 0.0696 0.4033 0.7006  5 O 1.99-2.20
24 O 0.8334 0.5183 0.7588  1 C 1.32

Computed properties:
ΔH_f (0 K): -2193 meV/atom
magnetic moment: 0.0 μB/cell
MP2020-corrected energy: -6.709 eV per atom